# 1
## NbFeSb (GGA-PBE)

Data for NbFeSb after structural relaxation.

Its total energy after the MP2020 corrections is -7.969 eV/atom. As for the space group: F-43m, No. 216. As for the maximum piezoelectric response: 2.23 C/m2.

a = 4.221 Å, b = 4.221 Å, c = 4.221 Å
α = 60.00°, β = 60.00°, γ = 60.00°
Sites, in units of the cell vectors:
Nb 0.000 0.000 0.000
Fe 0.250 0.250 0.250
Sb 0.500 0.500 0.500

# 2
## AlH12O5F5 (GGA-PBE)

Data for AlH12O5F5 after structural relaxation.

Its total energy after the MP2020 corrections is -5.000 eV/atom. As for the space group: P1, No. 1. The total magnetization comes out at 0.0 Bohr magnetons per cell.

a = 3.662 Å, b = 8.890 Å, c = 15.453 Å
α = 103.82°, β = 90.90°, γ = 92.07°
Sites, in units of the cell vectors:
O 0.120 0.157 0.582
O 0.049 0.951 0.386
O 0.691 0.546 0.920
O 0.874 0.642 0.089
O 0.634 0.704 0.788
O 0.337 0.071 0.419
O 0.960 0.426 0.896
O 0.943 0.631 0.435
O 0.378 0.223 0.294
O 0.139 0.130 0.929
H 0.274 0.113 0.484
H 0.340 0.176 0.347
H 0.834 0.752 0.112
H 0.268 0.155 0.238
H 0.686 0.295 0.139
H 0.727 0.844 0.797
H 0.288 0.275 0.767
H 0.109 0.267 0.608
H 0.695 0.780 0.270
H 0.282 0.344 0.302
H 0.682 0.664 0.842
H 0.199 0.487 0.902
H 0.727 0.586 0.124
H 0.752 0.592 0.987
H 0.997 0.063 0.872
H 0.486 0.257 0.766
H 0.391 0.794 0.611
H 0.755 0.637 0.737
H 0.819 0.008 0.401
H 0.050 0.562 0.373
H 0.065 0.238 0.936
H 0.236 0.109 0.625
H 0.499 0.750 0.266
H 0.746 0.693 0.422
Al 0.920 0.527 0.525
Al 0.144 0.024 0.019
F 0.138 0.085 0.135
F 0.641 0.043 0.024
F 0.550 0.361 0.112
F 0.431 0.574 0.536
F 0.127 0.831 0.974
F 0.933 0.534 0.639
F 0.796 0.968 0.800
F 0.899 0.339 0.469
F 0.194 0.478 0.303
F 0.194 0.861 0.616

# 3
## Hg (GGA-PBE)

Data for Hg after structural relaxation.

Its uncorrected energy is -0.291 eV per atom. As for the space group: Fm-3m, No. 225.

a = 3.586 Å, b = 3.586 Å, c = 3.586 Å
α = 60.00°, β = 60.00°, γ = 60.00°
Sites, in units of the cell vectors:
Hg 0.000 0.000 0.000

# 4
## Na6MgZr3Si2P4O24 (GGA-PBE)

Data for Na6MgZr3Si2P4O24 after structural relaxation.

Its total energy after the MP2020 corrections is -7.684 eV/atom. The total magnetization comes out at 0.0 Bohr magnetons per cell.

a = 15.862 Å, b = 9.112 Å, c = 9.171 Å
α = 90.34°, β = 124.75°, γ = 90.01°
Sites, in units of the cell vectors:
O 0.061 0.061 0.907
O 0.944 0.939 0.094
O 0.541 0.835 0.573
O 0.243 0.317 0.753
O 0.963 0.659 0.425
O 0.657 0.079 0.742
O 0.580 0.363 0.740
O 0.047 0.659 0.065
O 0.932 0.046 0.572
O 0.649 0.863 0.924
O 0.759 0.344 0.749
O 0.157 0.579 0.742
O 0.432 0.546 0.572
O 0.858 0.346 0.604
O 0.758 0.683 0.244
O 0.561 0.561 0.907
O 0.570 0.659 0.242
O 0.743 0.817 0.753
O 0.650 0.934 0.247
O 0.463 0.159 0.425
O 0.358 0.846 0.604
O 0.741 0.163 0.250
O 0.258 0.183 0.244
O 0.454 0.842 0.939
O 0.929 0.846 0.757
O 0.645 0.160 0.399
O 0.853 0.641 0.076
O 0.848 0.420 0.254
O 0.070 0.159 0.242
O 0.915 0.131 0.254
O 0.353 0.068 0.756
O 0.150 0.434 0.247
O 0.415 0.631 0.254
O 0.145 0.660 0.399
O 0.041 0.335 0.573
O 0.348 0.920 0.254
O 0.066 0.956 0.427
O 0.566 0.456 0.427
O 0.080 0.863 0.740
O 0.353 0.141 0.076
O 0.149 0.363 0.924
O 0.444 0.439 0.094
O 0.547 0.159 0.065
O 0.954 0.342 0.939
O 0.259 0.844 0.749
O 0.241 0.663 0.250
O 0.429 0.346 0.757
O 0.853 0.568 0.756
Na 0.741 0.746 0.475
Na 0.241 0.246 0.475
Na 0.186 0.082 0.813
Na 0.497 0.885 0.231
Na 0.997 0.385 0.231
Na 0.686 0.582 0.813
Na 0.750 0.249 0.999
Na 0.296 0.426 0.207
Na 0.511 0.091 0.773
Na 0.011 0.591 0.773
Na 0.250 0.749 0.999
Na 0.796 0.926 0.207
P 0.503 0.548 0.256
P 0.000 0.959 0.748
P 0.003 0.048 0.256
P 0.858 0.396 0.767
P 0.500 0.459 0.748
P 0.358 0.896 0.767
P 0.645 0.103 0.239
P 0.145 0.603 0.239
Zr 0.396 0.754 0.443
Zr 0.605 0.248 0.558
Zr 0.894 0.756 0.935
Zr 0.896 0.254 0.443
Zr 0.394 0.256 0.935
Zr 0.105 0.748 0.558
Si 0.850 0.602 0.251
Si 0.649 0.899 0.753
Si 0.149 0.399 0.753
Si 0.350 0.102 0.251
Mg 0.604 0.744 0.060
Mg 0.104 0.244 0.060